[1]
! MnCuC4O12 | the Materials Project database | PBE with a Hubbard U | relaxed; values from VASP
&SYSTEM
  ibrav = 0, nat = 36, ntyp = 4
/
ATOMIC_SPECIES
C 12.01 C.upf
O 16.00 O.upf
Cu 63.55 Cu.upf
Mn 54.94 Mn.upf
ATOMIC_POSITIONS crystal
C 0.343 0.324 0.542
C 0.314 0.901 0.807
C 0.657 0.676 0.458
C 0.186 0.901 0.307
C 0.843 0.676 0.958
C 0.814 0.099 0.693
C 0.157 0.324 0.042
C 0.686 0.099 0.193
O 0.596 0.089 0.288
O 0.580 0.411 0.149
O 0.130 0.203 0.002
O 0.721 0.101 0.600
O 0.420 0.589 0.851
O 0.822 0.556 0.915
O 0.221 0.899 0.900
O 0.404 0.911 0.712
O 0.630 0.797 0.498
O 0.779 0.101 0.100
O 0.019 0.298 0.449
O 0.322 0.444 0.585
O 0.519 0.702 0.051
O 0.178 0.444 0.085
O 0.481 0.298 0.949
O 0.904 0.089 0.788
O 0.279 0.899 0.400
O 0.096 0.911 0.212
O 0.920 0.411 0.649
O 0.870 0.797 0.998
O 0.678 0.556 0.415
O 0.370 0.203 0.502
O 0.080 0.589 0.351
O 0.981 0.702 0.551
Cu 0.000 0.000 0.000
Cu 0.500 0.000 0.500
Mn 0.000 0.500 0.500
Mn 0.500 0.500 0.000
CELL_PARAMETERS angstrom
8.423 0.000 0.000
0.000 8.717 0.000
0.000 0.931 9.450
! E_form in eV per atom: -1.12
! Symmetry: No. 14

[2]
! Li2FeP2O8 | the Materials Project database | PBE with a Hubbard U | relaxed; values from VASP
&SYSTEM
  ibrav = 0, nat = 52, ntyp = 4
/
ATOMIC_SPECIES
O 16.00 O.upf
Fe 55.84 Fe.upf
P 30.97 P.upf
Li 6.94 Li.upf
ATOMIC_POSITIONS crystal
O 0.603 0.646 0.661
O 0.997 0.936 0.243
O 0.695 0.396 0.414
O 0.195 0.104 0.414
O 0.497 0.564 0.243
O 0.103 0.854 0.661
O 0.931 0.672 0.383
O 0.503 0.436 0.757
O 0.003 0.064 0.757
O 0.301 0.884 0.089
O 0.569 0.172 0.617
O 0.801 0.616 0.089
O 0.393 0.166 0.813
O 0.498 0.044 0.272
O 0.998 0.456 0.272
O 0.069 0.328 0.617
O 0.607 0.834 0.187
O 0.449 0.644 0.884
O 0.805 0.896 0.586
O 0.893 0.334 0.813
O 0.107 0.666 0.187
O 0.051 0.144 0.116
O 0.949 0.856 0.884
O 0.431 0.828 0.383
O 0.897 0.146 0.339
O 0.397 0.354 0.339
O 0.199 0.384 0.911
O 0.305 0.604 0.586
O 0.699 0.116 0.911
O 0.002 0.544 0.728
O 0.502 0.956 0.728
O 0.551 0.356 0.116
Fe 0.088 0.836 0.095
Fe 0.912 0.164 0.905
Fe 0.588 0.664 0.095
Fe 0.412 0.336 0.905
P 0.465 0.585 0.721
P 0.535 0.415 0.279
P 0.959 0.598 0.238
P 0.035 0.085 0.279
P 0.965 0.915 0.721
P 0.041 0.402 0.762
P 0.541 0.098 0.762
P 0.459 0.902 0.238
Li 0.912 0.332 0.395
Li 0.662 0.353 0.633
Li 0.088 0.668 0.605
Li 0.588 0.832 0.605
Li 0.162 0.147 0.633
Li 0.838 0.853 0.367
Li 0.338 0.647 0.367
Li 0.412 0.168 0.395
CELL_PARAMETERS angstrom
-6.825 3.616 -3.335
-6.035 -5.541 6.341
2.303 4.993 6.555
! Energy relative to the lowest polymorph listed for this composition in meV/atom: 57
! E_form in eV per atom: -2.35
! Symmetry: No. 14

[3]
! VCd2BiO6 | the Materials Project database | PBE with a Hubbard U | relaxed; values from VASP
&SYSTEM
  ibrav = 0, nat = 20, ntyp = 4
/
ATOMIC_SPECIES
Bi 208.98 Bi.upf
V 50.94 V.upf
O 16.00 O.upf
Cd 112.41 Cd.upf
ATOMIC_POSITIONS crystal
Bi 0.595 0.405 0.977
Bi 0.405 0.595 0.477
V 0.164 0.836 0.981
V 0.836 0.164 0.481
O 0.652 0.657 0.728
O 0.657 0.652 0.228
O 0.621 0.062 0.624
O 0.343 0.348 0.728
O 0.348 0.343 0.228
O 0.794 0.206 0.184
O 0.985 0.015 0.477
O 0.379 0.938 0.124
O 0.938 0.379 0.624
O 0.206 0.794 0.684
O 0.015 0.985 0.977
O 0.062 0.621 0.124
Cd 0.680 0.908 0.983
Cd 0.320 0.092 0.483
Cd 0.908 0.680 0.483
Cd 0.092 0.320 0.983
CELL_PARAMETERS angstrom
-0.825 5.022 5.211
-0.395 3.731 -6.244
-5.681 -0.806 -0.122
! E_form in eV per atom: -1.86
! Largest piezoelectric modulus in C/m2: 0.6
! Symmetry: No. 36